# 1
Here is a relaxed structure of SiC4N4O4 from the Materials Project. Energies are from GGA-PBE.

POSCAR file:
```
SiC4N4O4
1.0
11.469 0.000 0.000
0.000 7.669 0.000
-1.991 0.000 10.938
Si C N O
4 16 16 16
Cartesian
1.977 2.774 4.314 Si
8.496 6.609 1.155 Si
7.501 4.895 6.624 Si
0.982 1.060 9.783 Si
0.247 2.683 2.003 C
10.226 6.518 3.466 C
9.230 4.986 8.934 C
-0.748 1.151 7.472 C
1.025 4.427 6.426 C
7.458 0.592 9.980 C
8.453 3.242 4.511 C
2.020 7.077 0.958 C
4.475 4.021 3.571 C
5.998 0.187 1.898 C
5.003 3.648 7.367 C
3.480 7.482 9.040 C
2.786 0.138 5.090 C
7.687 3.973 0.379 C
6.692 7.531 5.847 C
1.791 3.696 10.559 C
2.278 1.208 4.875 N
8.195 5.043 0.594 N
7.200 6.460 6.063 N
1.282 2.626 10.344 N
3.434 3.499 3.870 N
7.039 7.334 1.599 N
6.044 4.170 7.067 N
2.439 0.335 9.339 N
1.187 3.622 5.542 N
7.295 7.456 10.864 N
8.291 4.047 5.395 N
2.183 0.212 0.074 N
0.964 2.740 2.968 N
9.509 6.574 2.501 N
8.514 4.929 7.969 N
-0.031 1.095 8.437 N
11.011 2.625 1.057 O
-0.537 6.459 4.412 O
-1.533 5.044 9.880 O
10.015 1.210 6.526 O
5.503 4.533 3.280 O
4.970 0.698 2.189 O
3.975 3.136 7.658 O
4.508 6.971 8.749 O
3.252 6.748 5.332 O
7.221 2.914 0.137 O
6.226 0.921 5.605 O
2.257 4.755 10.801 O
0.815 5.186 7.306 O
7.667 1.352 9.100 O
8.662 2.482 3.631 O
1.811 6.317 1.837 O
```

Properties
Magnetization ... 0.03 μB per cell
ΔE_f ... -1155 kJ/mol of formula units
Space group ... P2_1/c (14)

---

# 2
Here is a relaxed structure of Si3C10NO7 from the Materials Project. Energies are from GGA-PBE.

POSCAR file:
```
Si3C10NO7
1.0
-5.904 2.573 6.055
-4.436 -10.627 0.191
9.285 -3.685 10.620
Si C N O
12 40 4 28
Cartesian
-0.345 -9.031 6.694 Si
-0.663 -2.595 10.169 Si
1.842 -3.704 6.631 Si
-2.850 -7.922 10.233 Si
-5.050 -5.602 10.006 Si
5.041 -3.630 6.814 Si
-0.206 -1.433 7.217 Si
0.197 -7.799 9.603 Si
1.335 -4.886 9.473 Si
-3.370 -9.200 7.434 Si
1.742 -11.344 6.877 Si
-3.777 -2.742 10.031 Si
6.172 -8.485 10.052 C
-9.337 -8.309 6.904 C
1.393 -12.683 12.773 C
-4.559 -4.112 4.183 C
7.154 -7.750 10.718 C
-9.514 -7.115 6.203 C
2.395 -11.956 13.420 C
-4.755 -2.909 3.501 C
-1.305 -4.167 1.143 C
-0.896 -10.316 15.771 C
-5.885 -8.451 3.661 C
3.684 -6.032 13.253 C
-1.767 -5.395 1.428 C
-1.448 -11.517 15.530 C
-6.151 -9.765 3.746 C
2.937 -7.147 13.212 C
-2.520 -6.492 1.262 C
2.740 -2.190 15.549 C
-2.376 -0.275 3.293 C
2.596 -8.408 13.517 C
6.155 -9.654 10.813 C
-5.730 1.462 5.988 C
6.070 -3.336 13.081 C
-5.644 -4.856 3.721 C
-8.462 -8.597 8.033 C
5.337 -8.100 8.921 C
-3.543 -4.460 5.168 C
0.418 -12.237 11.786 C
-3.960 -0.488 8.545 C
3.492 -9.844 8.295 C
-3.872 -6.807 6.276 C
3.404 -3.526 10.564 C
-3.593 -5.730 5.786 C
3.979 -2.555 11.017 C
-3.960 0.710 8.342 C
4.346 -8.995 8.462 C
-1.380 -9.222 3.034 C
-0.024 -3.352 13.847 C
-1.693 -2.805 5.534 C
0.289 -9.769 11.346 C
-2.684 -3.555 5.529 N
0.453 -11.000 11.386 N
-7.687 -7.655 8.481 N
5.456 -6.900 8.435 N
-4.579 -4.089 9.656 O
1.354 -12.848 7.303 O
-4.323 -10.480 7.214 O
1.098 -6.457 9.745 O
-3.749 -6.581 10.050 O
3.430 -3.395 6.784 O
-0.406 -1.758 8.801 O
0.087 -8.218 8.033 O
0.286 -3.916 10.231 O
-1.952 -9.287 6.661 O
-3.206 -8.675 11.632 O
1.539 -4.528 5.260 O
-6.044 -6.138 8.803 O
5.375 -4.677 8.045 O
-1.622 -1.785 6.447 O
0.952 -9.030 10.401 O
2.861 -4.584 10.066 O
-4.236 -7.921 6.813 O
2.566 -10.735 8.189 O
-3.941 -1.769 8.690 O
0.107 -8.175 5.394 O
-0.357 -1.632 11.437 O
1.034 -2.299 6.623 O
-1.283 -7.509 10.208 O
1.323 -4.620 7.875 O
-3.152 -8.973 9.024 O
0.381 -10.490 6.661 O
-2.210 -3.103 10.237 O
```

Properties
Magnetization ... 3.94 μB per cell
ΔE_f ... -1465 kJ/mol of formula units
Polymorph energy (0 for the lowest one) ... 0 meV per atom
Space group ... Pca2_1 (29)

---

# 3
Here is a relaxed structure of Si9C4NO18 from the Materials Project. Energies are from GGA-PBE.

POSCAR file:
```
Si9C4NO18
1.0
6.693 6.784 0.000
-6.693 6.784 0.000
0.000 5.178 11.678
Si C N O
18 8 2 36
Cartesian
1.710 10.143 1.270 Si
1.710 8.603 10.408 Si
1.728 11.389 4.176 Si
1.728 7.356 7.502 Si
-4.949 7.695 3.765 Si
-4.949 11.050 7.913 Si
-3.784 8.161 0.809 Si
-3.784 10.585 10.869 Si
-3.214 9.373 5.839 Si
-1.403 10.159 1.263 Si
-1.403 8.587 10.415 Si
-1.420 11.390 4.175 Si
-1.420 7.355 7.504 Si
5.259 7.692 3.776 Si
5.259 11.053 7.902 Si
4.095 8.153 0.822 Si
4.095 10.593 10.856 Si
3.515 9.373 5.839 Si
-0.493 5.578 3.988 C
-0.493 13.167 7.690 C
-0.447 6.916 3.545 C
-0.447 11.830 8.133 C
-0.006 6.411 2.283 C
-0.006 12.335 9.395 C
-0.852 5.275 2.377 C
-0.852 13.470 9.301 C
-0.971 4.438 3.446 N
-0.971 14.308 8.232 N
2.640 8.827 1.088 O
2.640 9.918 10.590 O
1.959 11.194 0.054 O
1.959 7.552 11.624 O
0.151 9.681 1.249 O
0.151 9.064 10.429 O
2.078 10.865 2.677 O
2.078 7.880 9.001 O
2.101 12.973 4.283 O
2.101 5.773 7.395 O
2.592 10.579 5.268 O
2.592 8.167 6.410 O
0.153 11.147 4.501 O
0.153 7.598 7.177 O
-4.541 7.839 2.202 O
-4.541 10.907 9.476 O
-4.139 8.786 4.641 O
-4.139 9.960 7.037 O
0.157 14.767 3.926 O
0.157 3.978 7.752 O
-3.527 6.784 0.000 O
-2.334 8.841 1.087 O
-2.334 9.904 10.591 O
-2.297 8.170 6.421 O
-2.297 10.576 5.257 O
-1.644 11.187 0.025 O
-1.644 7.558 11.653 O
-1.772 10.902 2.662 O
-1.772 7.844 9.017 O
-1.772 12.973 4.319 O
-1.772 5.773 7.359 O
4.846 7.813 2.212 O
4.846 10.932 9.466 O
4.430 8.753 4.656 O
4.430 9.992 7.022 O
3.855 6.784 0.000 O
```

Properties
Magnetization ... 2.00 μB per cell
ΔE_f ... -7346 kJ/mol of formula units
Space group ... C2 (5)

---

# 4
Here is a relaxed structure of Si6C8N2O19 from the Materials Project. Energies are from GGA-PBE.

POSCAR file:
```
Si6C8N2O19
1.0
-2.772 -14.705 4.395
4.766 -7.291 12.937
-7.470 11.886 -6.795
Si C N O
12 16 4 38
Cartesian
-6.925 -7.137 5.899 Si
-1.589 -3.810 3.927 Si
-5.818 -6.735 0.701 Si
-2.696 -4.211 9.125 Si
-4.441 6.522 -1.401 Si
-3.524 -3.375 6.311 Si
-1.199 -16.629 11.960 Si
-2.068 -6.814 4.139 Si
-2.898 -5.990 1.315 Si
0.166 -3.365 9.865 Si
-4.006 -6.387 6.509 Si
1.273 -2.968 4.671 Si
-6.425 2.086 0.596 C
1.089 -12.157 9.974 C
-1.060 0.797 3.923 C
-4.277 -10.868 6.647 C
-0.223 -7.394 6.795 C
-6.432 -3.041 3.466 C
-1.995 -0.469 6.219 C
-4.660 -9.966 4.042 C
-1.476 -7.590 10.309 C
-6.034 -3.080 -0.249 C
-0.861 -1.759 0.833 C
3.593 -6.092 11.627 C
0.622 -8.544 7.321 C
-6.123 -1.573 3.210 C
-1.332 0.396 5.159 C
-4.169 -10.513 5.373 C
0.799 -7.167 7.534 N
-5.229 -2.655 3.249 N
-1.022 0.308 6.525 N
-3.408 -10.130 4.257 N
-5.461 -7.128 6.634 O
-0.154 -3.021 3.870 O
-4.432 -5.863 0.756 O
-1.183 -4.286 9.749 O
0.160 -17.483 12.293 O
-1.301 -5.375 4.304 O
-5.992 -7.515 2.128 O
-2.619 -3.458 7.675 O
2.056 -5.033 9.161 O
-2.550 -3.705 2.544 O
-7.222 -5.878 0.324 O
-3.514 -5.680 8.981 O
-4.099 6.614 0.187 O
-2.557 -3.108 5.029 O
-0.989 -15.076 12.397 O
-0.969 -8.007 4.009 O
-4.686 -2.233 6.398 O
-4.743 4.977 -1.832 O
-3.100 -7.119 5.367 O
1.141 -2.023 5.995 O
-2.035 -4.545 1.426 O
1.579 -4.183 10.288 O
-3.000 -6.513 7.858 O
-7.698 -5.035 1.456 O
-2.962 -6.730 2.766 O
0.359 -2.590 8.444 O
-4.278 -4.822 6.145 O
-5.795 7.388 -1.729 O
-1.033 -8.473 9.731 O
-6.363 -2.166 0.356 O
-3.174 2.527 5.945 O
-1.450 1.539 -0.253 O
1.516 -9.315 12.289 O
-3.753 0.096 -0.993 O
-3.741 -9.229 9.910 O
-8.739 -2.809 -1.014 O
-9.235 -2.542 -2.164 O
-4.114 -1.133 -0.964 O
```

Properties
Magnetization ... 3.97 μB per cell
ΔE_f ... -2669 kJ/mol of formula units
Polymorph energy (0 for the lowest one) ... 0 meV per atom
Space group ... Iba2 (45)